Entry 1:
This record from the Materials Project describes crystalline Na5LiMn2P2C2O14 at its relaxed geometry. The functional is PBE with a Hubbard U.

Lattice parameters (Å, degrees): 5.1947 6.8555 8.9883 90.00 91.48 90.00
Last column: nearest neighbours and their distance in Å.
Positions (direct):
Na (0.0000, 0.0000, 0.0000)  4 O 2.30-2.47
Na (0.0196, 0.2540, 0.6595)  6 O 2.37-2.65
Na (0.0196, 0.7460, 0.6595)  6 O 2.37-2.65
Na (0.5070, 0.2475, 0.1718)  5 O 2.32-2.47
Na (0.5070, 0.7525, 0.1718)  5 O 2.32-2.47
Li (0.5322, 0.5000, 0.8061)  4 O 2.02-2.22
Mn (0.5430, 0.0000, 0.5567)  6 O 2.12-2.33
Mn (0.9853, 0.5000, 0.2802)  5 O 2.09-2.22
P (0.0488, 0.0000, 0.3278)  4 O 1.55-1.57
P (0.4775, 0.5000, 0.5069)  4 O 1.56
C (0.0474, 0.5000, 0.9620)  3 O 1.30-1.31
C (0.4950, 0.0000, 0.8541)  3 O 1.29-1.31
O (0.1478, 0.5000, 0.8310)  1 C 1.30
O (0.1778, 0.5000, 0.4872)  1 P 1.56
O (0.2025, 0.5000, 0.0793)  1 C 1.31
O (0.2933, 0.0000, 0.7644)  1 C 1.31
O (0.3496, 0.0000, 0.3458)  1 P 1.57
O (0.4677, 0.0000, 0.9969)  1 C 1.29
O (0.5624, 0.3198, 0.6018)  1 P 1.56
O (0.5624, 0.6802, 0.6018)  1 P 1.56
O (0.5942, 0.5000, 0.3491)  1 P 1.56
O (0.7226, 0.0000, 0.7969)  1 C 1.30
O (0.7992, 0.5000, 0.9776)  1 C 1.30
O (0.9342, 0.0000, 0.4854)  1 P 1.55
O (0.9632, 0.1826, 0.2357)  1 P 1.56
O (0.9632, 0.8174, 0.2357)  1 P 1.56

Output
Largest piezoelectric modulus = 0.19 C/m²
Calculated total energy = -6.698 eV/atom
Energy of formation from the pure elements = -2373 meV per atom

Entry 2:
This record from the Materials Project describes crystalline NaLi5Mn2P2C2O14 at its relaxed geometry. The functional is PBE with a Hubbard U.

Lattice parameters (Å, degrees): 6.6330 8.6535 9.9875 91.56 90.01 90.44
Last column: nearest neighbours and their distance in Å.
Positions (direct):
Na (0.0000, 0.0000, 0.0000)  5 O 2.29-2.43
Na (0.2575, 0.8342, 0.7447)  4 O 2.19-2.43
Li (0.0210, 0.0128, 0.5026)  4 O 2.10-2.26
Li (0.2571, 0.8268, 0.2484)  2 O 2.01-2.22
Li (0.4822, 0.0144, 0.5052)  4 O 2.10-2.25
Li (0.4834, 0.0159, 0.0098)  4 O 1.98-2.17
Li (0.5196, 0.4884, 0.2400)  4 O 2.08-2.25
Li (0.5214, 0.4835, 0.7385)  4 O 2.10-2.19
Li (0.7443, 0.6631, 0.9995)  3 O 2.01-2.22
Li (0.7517, 0.6658, 0.4965)  2 O 2.00-2.13
Li (0.9837, 0.4841, 0.7386)  4 O 2.11-2.22
Li (0.9853, 0.4887, 0.2390)  4 O 2.09-2.29
Mn (0.2518, 0.3947, 0.0133)  5 O 2.13-2.24
Mn (0.2529, 0.3950, 0.5085)  6 O 2.13-2.32
Mn (0.7488, 0.1054, 0.2388)  5 O 2.13-2.24
Mn (0.7515, 0.1073, 0.7327)  5 O 2.11-2.26
P (0.2521, 0.1547, 0.2738)  4 O 1.55-1.57
P (0.2570, 0.1645, 0.7686)  4 O 1.55-1.56
P (0.7476, 0.3452, 0.9777)  4 O 1.55-1.57
P (0.7528, 0.3426, 0.4749)  4 O 1.55-1.56
C (0.2526, 0.7009, 0.4834)  3 O 1.29-1.31
C (0.2613, 0.7029, 0.9930)  3 O 1.30
C (0.7508, 0.7911, 0.7559)  3 O 1.29-1.30
C (0.7516, 0.7911, 0.2583)  3 O 1.30-1.31
O (0.0634, 0.0615, 0.2275)  1 P 1.55
O (0.0670, 0.0713, 0.7215)  1 P 1.56
O (0.2502, 0.6076, 0.8903)  1 C 1.30
O (0.2509, 0.8508, 0.4705)  1 C 1.31
O (0.2518, 0.6504, 0.1137)  1 C 1.30
O (0.2534, 0.3347, 0.7230)  1 P 1.55
O (0.2530, 0.6115, 0.3765)  1 C 1.30
O (0.2542, 0.6395, 0.5998)  1 C 1.29
O (0.2546, 0.3243, 0.2250)  1 P 1.56
O (0.2572, 0.1627, 0.4307)  1 P 1.57
O (0.2693, 0.1680, 0.9248)  1 P 1.56
O (0.2809, 0.8501, 0.9755)  1 C 1.30
O (0.4336, 0.0587, 0.2204)  1 P 1.55
O (0.4379, 0.0724, 0.7096)  1 P 1.55
O (0.5683, 0.4465, 0.0274)  1 P 1.56
O (0.5694, 0.4365, 0.5277)  1 P 1.55
O (0.7346, 0.1767, 0.0271)  1 P 1.55
O (0.7476, 0.8915, 0.8554)  1 C 1.30
O (0.7487, 0.8903, 0.3581)  1 C 1.30
O (0.7511, 0.3363, 0.8207)  1 P 1.57
O (0.7521, 0.3367, 0.3181)  1 P 1.56
O (0.7519, 0.8381, 0.6339)  1 C 1.29
O (0.7532, 0.1716, 0.5206)  1 P 1.56
O (0.7530, 0.6438, 0.2835)  1 C 1.31
O (0.7526, 0.6442, 0.7818)  1 C 1.30
O (0.7525, 0.8377, 0.1358)  1 C 1.30
O (0.9363, 0.4345, 0.0310)  1 P 1.55
O (0.9375, 0.4369, 0.5281)  1 P 1.55

Output
Calculated total energy = -6.810 eV/atom
Energy of formation from the pure elements = -2395 meV per atom

Entry 3:
This record from the Materials Project describes crystalline Na5LiMn2P2C2O14 at its relaxed geometry. The functional is PBE with a Hubbard U.

Lattice parameters (Å, degrees): 8.9835 6.7669 10.3667 90.00 90.07 90.00
Last column: nearest neighbours and their distance in Å.
Positions (direct):
Na (0.0834, 0.0000, 0.1194)  5 O 2.32-2.54
Na (0.0828, 0.0029, 0.6207)  5 O 2.35-2.50
Na (0.2580, 0.7521, 0.8758)  6 O 2.37-2.58
Na (0.2585, 0.2492, 0.3768)  6 O 2.32-2.57
Na (0.2586, 0.7516, 0.3764)  6 O 2.31-2.57
Na (0.7414, 0.2516, 0.6236)  6 O 2.31-2.57
Na (0.7415, 0.7492, 0.6232)  6 O 2.32-2.57
Na (0.7420, 0.2521, 0.1242)  6 O 2.37-2.58
Na (0.9166, 0.5000, 0.8806)  5 O 2.32-2.54
Na (0.9172, 0.5029, 0.3793)  5 O 2.35-2.50
Li (0.2687, 0.2412, 0.8796)  4 O 2.20-2.38
Li (0.7313, 0.7412, 0.1204)  4 O 2.20-2.38
Mn (0.3614, 0.4976, 0.1098)  6 O 2.14-2.38
Mn (0.3617, 0.4996, 0.6116)  6 O 2.11-2.35
Mn (0.6383, 0.9996, 0.3884)  6 O 2.11-2.35
Mn (0.6386, 0.9976, 0.8902)  6 O 2.14-2.38
P (0.4099, 0.0034, 0.6505)  4 O 1.55-1.57
P (0.4139, 0.9958, 0.1478)  4 O 1.56
P (0.5861, 0.4958, 0.8522)  4 O 1.56
P (0.5901, 0.5034, 0.3495)  4 O 1.55-1.57
C (0.0565, 0.5051, 0.1311)  3 O 1.30-1.31
C (0.0607, 0.4989, 0.6333)  3 O 1.30
C (0.9393, 0.9989, 0.3667)  3 O 1.30
C (0.9435, 0.0051, 0.8689)  3 O 1.30-1.31
O (0.0832, 0.0001, 0.3559)  1 C 1.30
O (0.0879, 0.0181, 0.8592)  1 C 1.30
O (0.1202, 0.4985, 0.0186)  1 C 1.30
O (0.1224, 0.5007, 0.5196)  1 C 1.30
O (0.1396, 0.4981, 0.2344)  1 C 1.31
O (0.1450, 0.4962, 0.7358)  1 C 1.30
O (0.3182, 0.1851, 0.6047)  1 P 1.55
O (0.3192, 0.8135, 0.1074)  1 P 1.56
O (0.3188, 0.8170, 0.6113)  1 P 1.56
O (0.3257, 0.1808, 0.1008)  1 P 1.56
O (0.4239, 0.0120, 0.8014)  1 P 1.57
O (0.4256, 0.4864, 0.9084)  1 P 1.56
O (0.4272, 0.0018, 0.2980)  1 P 1.56
O (0.4319, 0.5008, 0.4090)  1 P 1.55
O (0.5681, 0.0008, 0.5910)  1 P 1.55
O (0.5728, 0.5018, 0.7020)  1 P 1.56
O (0.5744, 0.9864, 0.0916)  1 P 1.56
O (0.5761, 0.5120, 0.1986)  1 P 1.57
O (0.6743, 0.6808, 0.8992)  1 P 1.56
O (0.6808, 0.3135, 0.8926)  1 P 1.56
O (0.6812, 0.3170, 0.3887)  1 P 1.56
O (0.6818, 0.6851, 0.3953)  1 P 1.55
O (0.8550, 0.9962, 0.2642)  1 C 1.30
O (0.8604, 0.9981, 0.7656)  1 C 1.31
O (0.8776, 0.0007, 0.4804)  1 C 1.30
O (0.8798, 0.9985, 0.9814)  1 C 1.30
O (0.9121, 0.5181, 0.1408)  1 C 1.30
O (0.9168, 0.5001, 0.6441)  1 C 1.30

Output
Calculated total energy = -6.692 eV/atom
Energy of formation from the pure elements = -2368 meV per atom

Entry 4:
This record from the Materials Project describes crystalline Na5LiMn2P2C2O14 at its relaxed geometry. The functional is PBE with a Hubbard U.

Lattice parameters (Å, degrees): 6.7671 8.9868 10.3750 90.03 90.31 90.61
Last column: nearest neighbours and their distance in Å.
Positions (direct):
Na (0.0012, 0.2419, 0.1234)  6 O 2.31-2.56
Na (0.2455, 0.4167, 0.3806)  5 O 2.32-2.55
Na (0.2479, 0.4172, 0.8793)  5 O 2.35-2.50
Na (0.4984, 0.2418, 0.6239)  6 O 2.38-2.58
Na (0.4987, 0.2410, 0.1233)  6 O 2.32-2.57
Na (0.5013, 0.7590, 0.8767)  6 O 2.32-2.57
Na (0.5016, 0.7582, 0.3761)  6 O 2.38-2.58
Na (0.7521, 0.5828, 0.1207)  5 O 2.35-2.50
Na (0.7545, 0.5833, 0.6194)  5 O 2.32-2.55
Na (0.9988, 0.7581, 0.8766)  6 O 2.31-2.56
Li (0.0095, 0.2314, 0.6206)  4 O 2.18-2.40
Li (0.9905, 0.7686, 0.3794)  4 O 2.18-2.40
Mn (0.2483, 0.8614, 0.6097)  6 O 2.14-2.38
Mn (0.2491, 0.8617, 0.1115)  6 O 2.12-2.35
Mn (0.7509, 0.1383, 0.8885)  6 O 2.12-2.35
Mn (0.7517, 0.1386, 0.3903)  6 O 2.14-2.38
P (0.2460, 0.0858, 0.3521)  4 O 1.56
P (0.2469, 0.0900, 0.8495)  4 O 1.55-1.57
P (0.7531, 0.9100, 0.1505)  4 O 1.55-1.57
P (0.7540, 0.9142, 0.6479)  4 O 1.56
C (0.2431, 0.5564, 0.6311)  3 O 1.30-1.31
C (0.2485, 0.5607, 0.1332)  3 O 1.30
C (0.7515, 0.4393, 0.8668)  3 O 1.30
C (0.7569, 0.4436, 0.3689)  3 O 1.30-1.31
O (0.0663, 0.1811, 0.8951)  1 P 1.55
O (0.0675, 0.1810, 0.3965)  1 P 1.56
O (0.2328, 0.4119, 0.6407)  1 C 1.30
O (0.2357, 0.9254, 0.4084)  1 P 1.56
O (0.2371, 0.0759, 0.6988)  1 P 1.57
O (0.2453, 0.6449, 0.2356)  1 C 1.30
O (0.2459, 0.0727, 0.2020)  1 P 1.56
O (0.2484, 0.6202, 0.5186)  1 C 1.30
O (0.2488, 0.6223, 0.0196)  1 C 1.30
O (0.2488, 0.6395, 0.7343)  1 C 1.31
O (0.2503, 0.9320, 0.9091)  1 P 1.55
O (0.2518, 0.4169, 0.1441)  1 C 1.30
O (0.4343, 0.1817, 0.8887)  1 P 1.56
O (0.4348, 0.1732, 0.3952)  1 P 1.56
O (0.5652, 0.8268, 0.6048)  1 P 1.56
O (0.5657, 0.8183, 0.1113)  1 P 1.56
O (0.7482, 0.5831, 0.8559)  1 C 1.30
O (0.7497, 0.0680, 0.0909)  1 P 1.55
O (0.7512, 0.3605, 0.2657)  1 C 1.31
O (0.7512, 0.3777, 0.9804)  1 C 1.30
O (0.7516, 0.3798, 0.4814)  1 C 1.30
O (0.7541, 0.9273, 0.7980)  1 P 1.56
O (0.7547, 0.3551, 0.7644)  1 C 1.30
O (0.7629, 0.9241, 0.3012)  1 P 1.57
O (0.7643, 0.0746, 0.5916)  1 P 1.56
O (0.7672, 0.5881, 0.3593)  1 C 1.30
O (0.9325, 0.8190, 0.6035)  1 P 1.56
O (0.9337, 0.8189, 0.1049)  1 P 1.55

Output
Calculated total energy = -6.693 eV/atom
Energy of formation from the pure elements = -2368 meV per atom